Computed, not measured: Y4GeO8F2 after structural relaxation at the GGA-PBE level of DFT.

Results
* spin magnetization: 2.0 μB/f.u.
* DFT total energy: -0.2893 hartree per atom
* crystal system: triclinic
* E_form: -3.375 eV/atom

a b c (Å): 5.6455 6.4174 6.9210
angles (deg): 90.27 109.78 110.43
Closest atoms and distances in Å follow each position.
Sites, in units of the cell vectors:
Y: 0.8610 0.7152 0.8651  1 F 2.30, 6 O 2.32-2.47
Y: 0.1233 0.2726 0.1394  6 O 2.27-2.40, 1 F 2.31
Y: 0.5511 0.9404 0.2556  5 O 2.23-2.31, 2 F 2.30-2.33
Y: 0.4497 0.0739 0.7483  5 O 2.25-2.41, 2 F 2.29-2.39
Ge: 0.0908 0.4433 0.6369  4 O 1.77-1.83
O: 0.9341 0.2635 0.3973  1 Ge 1.77
O: 0.1022 0.7238 0.6466  1 Ge 1.78
O: 0.5190 0.5786 0.2169  1 O 2.15, 2 Y 2.27-2.29
O: 0.4198 0.4330 0.7555  1 Ge 1.78
O: 0.1518 0.6365 0.1693  1 O 2.15, 3 Y 2.29-2.37
O: 0.8931 0.3482 0.8029  1 Ge 1.83
O: 0.7337 0.9649 0.0122  4 Y 2.23-2.32
O: 0.2580 0.0413 0.9890  4 Y 2.25-2.35
F: 0.6492 0.8768 0.5994  3 Y 2.30-2.39
F: 0.3588 0.1229 0.4067  3 Y 2.29-2.31


Computed, not measured: Rb3GeF7 after structural relaxation at the GGA-PBE level of DFT.

Results
* DFT total energy: -0.1698 hartree per atom
* crystal system: tetragonal
* E_form: -3.008 eV/atom

a b c (Å): 8.2444 8.2444 6.0130
angles (deg): 90.00 90.00 90.00
Closest atoms and distances in Å follow each position.
Sites, in units of the cell vectors:
Rb: 0.6957 0.1957 0.5000  10 F 2.83-3.11
Rb: 0.3043 0.8043 0.5000  10 F 2.83-3.11
Rb: 0.1957 0.3043 0.5000  10 F 2.83-3.11
Rb: 0.8043 0.6957 0.5000  10 F 2.83-3.11
Rb: 0.0000 0.0000 0.0000  6 F 3.01-3.11
Rb: 0.5000 0.5000 0.0000  6 F 3.01-3.11
Ge: 0.5000 0.0000 0.0000  6 F 1.84
Ge: 0.0000 0.5000 0.0000  6 F 1.84
F: 0.1094 0.6094 0.2198  1 Ge 1.84
F: 0.8906 0.3906 0.7802  1 Ge 1.84
F: 0.8906 0.3906 0.2198  1 Ge 1.84
F: 0.6094 0.8906 0.2198  1 Ge 1.84
F: 0.6094 0.8906 0.7802  1 Ge 1.84
F: 0.1094 0.6094 0.7802  1 Ge 1.84
F: 0.3906 0.1094 0.7802  1 Ge 1.84
F: 0.3906 0.1094 0.2198  1 Ge 1.84
F: 0.6578 0.1578 0.0000  1 Ge 1.84
F: 0.3422 0.8422 0.0000  1 Ge 1.84
F: 0.1578 0.3422 0.0000  1 Ge 1.84
F: 0.8422 0.6578 0.0000  1 Ge 1.84
F: 0.0000 0.0000 0.5000  6 Rb 2.98-3.01
F: 0.5000 0.5000 0.5000  6 Rb 2.98-3.01